VASP calculation (r²SCAN) on Ba4SiAs4 after structural relaxation.

Lattice parameters (Å, degrees): 13.444 13.444 13.444 90.00 90.00 90.00
Positions (direct):
Ba: 0.355 0.645 0.355
Ba: 0.855 0.632 0.405
Ba: 0.632 0.595 0.145
Ba: 0.868 0.645 0.905
Ba: 0.355 0.355 0.645
Ba: 0.095 0.868 0.355
Ba: 0.645 0.645 0.645
Ba: 0.095 0.132 0.645
Ba: 0.595 0.855 0.368
Ba: 0.645 0.905 0.868
Ba: 0.645 0.095 0.132
Ba: 0.132 0.355 0.905
Ba: 0.855 0.855 0.145
Ba: 0.368 0.405 0.145
Ba: 0.595 0.145 0.632
Ba: 0.855 0.145 0.855
Ba: 0.368 0.595 0.855
Ba: 0.855 0.368 0.595
Ba: 0.632 0.405 0.855
Ba: 0.145 0.632 0.595
Ba: 0.145 0.368 0.405
Ba: 0.355 0.095 0.868
Ba: 0.868 0.355 0.095
Ba: 0.405 0.145 0.368
Ba: 0.132 0.645 0.095
Ba: 0.905 0.132 0.355
Ba: 0.145 0.145 0.145
Ba: 0.405 0.855 0.632
Ba: 0.355 0.905 0.132
Ba: 0.645 0.355 0.355
Ba: 0.905 0.868 0.645
Ba: 0.145 0.855 0.855
As: 0.603 0.603 0.397
As: 0.397 0.397 0.397
As: 0.848 0.889 0.398
As: 0.389 0.348 0.898
As: 0.398 0.152 0.111
As: 0.111 0.602 0.848
As: 0.398 0.848 0.889
As: 0.603 0.397 0.603
As: 0.397 0.603 0.603
As: 0.652 0.898 0.611
As: 0.848 0.111 0.602
As: 0.102 0.611 0.348
As: 0.389 0.652 0.102
As: 0.602 0.152 0.889
As: 0.897 0.103 0.103
As: 0.348 0.898 0.389
As: 0.889 0.398 0.848
As: 0.152 0.889 0.602
As: 0.103 0.897 0.103
As: 0.897 0.897 0.897
As: 0.611 0.348 0.102
As: 0.898 0.389 0.348
As: 0.611 0.652 0.898
As: 0.652 0.102 0.389
As: 0.348 0.102 0.611
As: 0.152 0.111 0.398
As: 0.602 0.848 0.111
As: 0.889 0.602 0.152
As: 0.103 0.103 0.897
As: 0.102 0.389 0.652
As: 0.111 0.398 0.152
As: 0.898 0.611 0.652
Si: 0.000 0.500 0.750
Si: 0.000 0.500 0.250
Si: 0.000 0.000 0.000
Si: 0.500 0.750 0.000
Si: 0.750 0.000 0.500
Si: 0.500 0.500 0.500
Si: 0.250 0.000 0.500
Si: 0.500 0.250 0.000

Results
symmetry = P-43n, No. 218
E_form = -1.17 eV per atom
total energy = -20.459 eV/atom